This record from the Materials Project database describes Ca2LaMn2O7 after structural relaxation. The functional is PBE with a Hubbard U.

## Properties
The calculation puts the density at 5.0 g/cm3. Its volume is 12.2 A^3/atom.

Unit cell a=3.888 b=3.888 c=10.088 alpha=101.11 beta=101.11 gamma=89.99
Element x y z (fractional)
O1 0.000 0.000 0.000
O2 0.404 0.904 0.808
O3 0.596 0.096 0.192
O4 0.200 0.200 0.399
O5 0.904 0.404 0.808
O6 0.800 0.800 0.601
O7 0.096 0.596 0.192
Ca1 0.315 0.315 0.630
Ca2 0.685 0.685 0.370
La1 0.500 0.500 0.000
Mn1 0.898 0.898 0.796
Mn2 0.102 0.102 0.204



This record from the Materials Project database describes Ca4Al6CrO16 after structural relaxation. The functional is PBE with a Hubbard U.

## Properties
The calculation puts the density at 2.6 g/cm3. Its volume is 15.1 A^3/atom.

Unit cell a=8.096 b=8.096 c=8.096 alpha=109.85 beta=109.85 gamma=108.72
Element x y z (fractional)
Cr1 0.000 0.000 0.000
O1 0.602 0.300 0.605
O2 0.695 0.997 0.395
O3 0.003 0.398 0.697
O4 0.598 0.602 0.307
O5 0.955 0.110 0.862
O6 0.248 0.094 0.138
O7 0.700 0.305 0.303
O8 0.406 0.997 0.714
O9 0.710 0.402 0.004
O10 0.398 0.705 0.996
O11 0.295 0.290 0.693
O12 0.283 0.691 0.286
O13 0.890 0.752 0.846
O14 0.003 0.717 0.408
O15 0.906 0.045 0.154
O16 0.309 0.594 0.592
Al1 0.250 0.750 0.500
Al2 0.750 0.250 0.500
Al3 0.492 0.747 0.246
Al4 0.755 0.508 0.256
Al5 0.501 0.245 0.754
Al6 0.253 0.499 0.744
Ca1 0.994 0.012 0.573
Ca2 0.579 0.006 0.019
Ca3 0.439 0.421 0.427
Ca4 0.988 0.561 0.981



This record from the Materials Project database describes Li9Mn2Co5O16 after structural relaxation. The functional is PBE with a Hubbard U.

## Properties
The calculation puts the density at 4.2 g/cm3. Its volume is 8.8 A^3/atom.

Unit cell a=5.923 b=6.430 c=7.877 alpha=87.39 beta=75.79 gamma=76.56
Element x y z (fractional)
O1 0.295 0.961 0.817
O2 0.572 0.200 0.587
O3 0.709 0.547 0.689
O4 0.047 0.202 0.569
O5 0.435 0.795 0.437
O6 0.214 0.535 0.677
O7 0.962 0.789 0.432
O8 0.057 0.706 0.054
O9 0.704 0.061 0.176
O10 0.460 0.292 0.932
O11 0.530 0.716 0.069
O12 0.291 0.448 0.317
O13 0.791 0.442 0.327
O14 0.179 0.052 0.166
O15 0.818 0.956 0.831
O16 0.939 0.298 0.918
Li1 0.133 0.866 0.616
Li2 0.620 0.864 0.610
Li3 0.373 0.630 0.877
Li4 0.747 0.749 0.252
Li5 0.869 0.122 0.370
Li6 0.114 0.394 0.135
Li7 0.876 0.628 0.882
Li8 0.388 0.114 0.370
Li9 0.622 0.383 0.138
Co1 0.246 0.751 0.252
Co2 0.995 0.498 0.493
Co3 0.502 0.001 0.008
Co4 0.254 0.250 0.748
Co5 0.505 0.502 0.496
Mn1 0.997 0.995 0.004
Mn2 0.755 0.253 0.751



This record from the Materials Project database describes Li9V6P16O58 after structural relaxation. The functional is PBE with a Hubbard U.

## Properties
The calculation puts the density at 2.5 g/cm3. Its volume is 13.1 A^3/atom.

Unit cell a=9.779 b=9.798 c=14.039 alpha=89.80 beta=89.78 gamma=60.20
Element x y z (fractional)
O1 0.239 0.760 0.430
O2 0.081 0.256 0.837
O3 0.787 0.218 0.923
O4 0.788 0.204 0.744
O5 0.482 0.627 0.170
O6 0.655 0.086 0.836
O7 0.989 0.237 0.424
O8 0.514 0.814 0.332
O9 0.009 0.787 0.745
O10 0.619 0.480 0.680
O11 0.081 0.534 0.830
O12 0.259 0.654 0.837
O13 0.660 0.659 0.979
O14 0.382 0.522 0.324
O15 0.903 0.618 0.680
O16 0.342 0.743 0.666
O17 0.233 0.778 0.068
O18 0.672 0.513 0.333
O19 0.817 0.668 0.328
O20 0.514 0.668 0.832
O21 0.815 0.508 0.835
O22 0.796 0.995 0.075
O23 0.676 0.804 0.829
O24 0.004 0.788 0.927
O25 0.182 0.482 0.174
O26 0.326 0.192 0.172
O27 0.796 0.992 0.256
O28 0.627 0.899 0.166
O29 0.203 0.008 0.742
O30 0.083 0.662 0.340
O31 0.335 0.486 0.676
O32 0.210 0.789 0.249
O33 0.377 0.091 0.830
O34 0.742 0.343 0.165
O35 0.326 0.350 0.526
O36 0.185 0.340 0.680
O37 0.533 0.381 0.827
O38 0.757 0.998 0.435
O39 0.671 0.667 0.478
O40 0.322 0.345 0.021
O41 0.211 0.993 0.921
O42 0.252 0.085 0.341
O43 0.479 0.335 0.171
O44 0.987 0.240 0.064
O45 0.001 0.753 0.567
O46 0.919 0.740 0.167
O47 0.250 0.984 0.563
O48 0.007 0.206 0.243
O49 0.342 0.919 0.166
O50 0.089 0.383 0.320
O51 0.666 0.250 0.342
O52 0.479 0.904 0.678
O53 0.898 0.481 0.171
O54 0.756 0.250 0.567
O55 0.749 0.916 0.660
O56 0.914 0.345 0.667
O57 0.486 0.186 0.668
O58 0.524 0.093 0.323
V1 0.429 0.004 0.248
V2 0.567 0.997 0.754
V3 0.007 0.564 0.245
V4 0.438 0.564 0.753
V5 0.003 0.433 0.751
V6 0.569 0.431 0.248
P1 0.912 0.316 0.155
P2 0.317 0.774 0.157
P3 0.690 0.222 0.841
P4 0.336 0.335 0.631
P5 0.668 0.667 0.371
P6 0.225 0.083 0.840
P7 0.778 0.913 0.158
P8 0.320 0.912 0.656
P9 0.232 0.680 0.340
P10 0.683 0.085 0.343
P11 0.669 0.664 0.873
P12 0.084 0.691 0.843
P13 0.084 0.230 0.340
P14 0.771 0.320 0.658
P15 0.337 0.331 0.127
P16 0.913 0.769 0.658
Li1 0.771 0.327 0.437
Li2 0.680 0.093 0.561
Li3 0.973 0.981 0.004
Li4 0.665 0.675 0.115
Li5 0.319 0.912 0.436
Li6 0.227 0.684 0.558
Li7 0.902 0.768 0.438
Li8 0.910 0.322 0.941
Li9 0.319 0.768 0.944



This record from the Materials Project database describes CsCrClO3 after structural relaxation. The functional is PBE with a Hubbard U.

## Properties
The calculation puts the density at 3.1 g/cm3. Its volume is 23.8 A^3/atom.

Unit cell a=6.197 b=9.012 c=10.222 alpha=90.00 beta=90.00 gamma=90.00
Element x y z (fractional)
Cr1 0.250 0.763 0.517
Cr2 0.750 0.263 0.983
Cr3 0.750 0.237 0.483
Cr4 0.250 0.737 0.017
O1 0.034 0.826 0.062
O2 0.534 0.326 0.438
O3 0.534 0.174 0.938
O4 0.034 0.674 0.562
O5 0.250 0.715 0.859
O6 0.250 0.785 0.359
O7 0.466 0.826 0.062
O8 0.966 0.326 0.438
O9 0.466 0.674 0.562
O10 0.750 0.285 0.141
O11 0.750 0.215 0.641
O12 0.966 0.174 0.938
Cs1 0.250 0.118 0.207
Cs2 0.250 0.382 0.707
Cs3 0.750 0.618 0.293
Cs4 0.750 0.882 0.793
Cl1 0.750 0.017 0.391
Cl2 0.250 0.983 0.609
Cl3 0.250 0.517 0.109
Cl4 0.750 0.483 0.891



This record from the Materials Project database describes LiV4O5F7 after structural relaxation. The functional is PBE with a Hubbard U.

## Properties
The calculation puts the density at 3.4 g/cm3. Its volume is 12.3 A^3/atom.

Unit cell a=5.184 b=5.366 c=8.990 alpha=105.96 beta=89.48 gamma=118.67
Element x y z (fractional)
F1 0.683 0.745 0.815
F2 0.174 0.751 0.328
F3 0.323 0.238 0.175
F4 0.362 0.277 0.580
F5 0.178 0.763 0.924
F6 0.228 0.257 0.876
F7 0.726 0.277 0.385
Li1 0.814 0.619 0.593
V1 0.504 0.960 0.503
V2 0.749 0.519 0.238
V3 0.212 0.493 0.741
V4 0.981 0.017 0.007
O1 0.265 0.761 0.628
O2 0.829 0.232 0.083
O3 0.785 0.732 0.122
O4 0.676 0.751 0.427
O5 0.842 0.251 0.673



This record from the Materials Project database describes Li9Co7O16 after structural relaxation. The functional is PBE with a Hubbard U.

## Properties
The calculation puts the density at 4.3 g/cm3. Its volume is 8.7 A^3/atom.

Unit cell a=5.841 b=5.858 c=8.685 alpha=89.11 beta=70.38 gamma=89.66
Element x y z (fractional)
Li1 0.633 0.747 0.241
Li2 0.500 0.000 0.000
Li3 0.250 0.501 0.499
Li4 0.124 0.747 0.247
Li5 0.750 0.499 0.501
Li6 0.876 0.253 0.753
Li7 0.000 0.500 0.000
Li8 0.000 0.000 0.000
Li9 0.367 0.253 0.759
O1 0.863 0.018 0.252
O2 0.607 0.514 0.762
O3 0.387 0.021 0.258
O4 0.137 0.982 0.748
O5 0.007 0.238 0.496
O6 0.276 0.736 0.980
O7 0.513 0.239 0.481
O8 0.742 0.737 0.988
O9 0.393 0.486 0.238
O10 0.724 0.264 0.020
O11 0.856 0.475 0.254
O12 0.613 0.979 0.742
O13 0.993 0.762 0.504
O14 0.144 0.525 0.746
O15 0.258 0.263 0.012
O16 0.487 0.761 0.519
Co1 0.249 0.001 0.500
Co2 0.500 0.500 0.000
Co3 0.127 0.256 0.239
Co4 0.630 0.256 0.245
Co5 0.370 0.744 0.755
Co6 0.873 0.744 0.761
Co7 0.751 0.999 0.500



This record from the Materials Project database describes Li4NbNi3O8 after structural relaxation. The functional is PBE with a Hubbard U.

## Properties
The calculation puts the density at 4.7 g/cm3. Its volume is 9.3 A^3/atom.

Unit cell a=5.951 b=5.951 c=5.951 alpha=59.99 beta=59.99 gamma=59.99
Element x y z (fractional)
O1 0.760 0.760 0.241
O2 0.240 0.240 0.759
O3 0.262 0.262 0.262
O4 0.241 0.760 0.760
O5 0.738 0.738 0.738
O6 0.759 0.240 0.240
O7 0.240 0.759 0.240
O8 0.760 0.241 0.760
Ni1 0.500 0.500 0.000
Ni2 0.500 0.000 0.500
Ni3 0.000 0.500 0.500
Nb1 0.000 0.000 0.000
Li1 0.000 0.000 0.500
Li2 0.500 0.000 0.000
Li3 0.500 0.500 0.500
Li4 0.000 0.500 0.000



Number 1: formation enthalpy at 0 K -2844 meV per atom. Number 2: formation enthalpy at 0 K -3228 meV per atom. Number 3: formation enthalpy at 0 K -1799 meV per atom. Number 4: formation enthalpy at 0 K -2592 meV per atom. Number 5: formation enthalpy at 0 K -1718 meV per atom. Number 6: formation enthalpy at 0 K -2802 meV per atom. Number 7: formation enthalpy at 0 K -1710 meV per atom. Number 8: formation enthalpy at 0 K -1991 meV per atom.